[1]
CeSe: optimized geometry, GGA-PBE.

Cell lengths 4.1904, 4.1904, 4.1904 Å; angles 60.00, 60.00, 60.00 degrees
Element x y z (fractional)
Ce  0.0000  0.0000  0.0000
Se  0.5000  0.5000  0.5000

Summary:
The MP2020-corrected energy is -13.531 eV/cell. Its symmetry is Fm-3m (225).

=====

[2]
Mg6MnBi: optimized geometry, GGA-PBE.

Cell lengths 5.0761, 6.4128, 11.0307 Å; angles 90.00, 90.00, 90.00 degrees
Element x y z (fractional)
Mg  0.0000  0.2364  0.0779
Mg  0.0000  0.7636  0.0779
Mg  0.0000  0.5000  0.8338
Mg  0.5000  0.2443  0.9149
Mg  0.5000  0.7557  0.9149
Mg  0.5000  0.5000  0.6683
Mg  0.0000  0.7364  0.5779
Mg  0.0000  0.2636  0.5779
Mg  0.0000  0.0000  0.3338
Mg  0.5000  0.7443  0.4149
Mg  0.5000  0.2557  0.4149
Mg  0.5000  0.0000  0.1683
Mn  0.0000  0.5000  0.3407
Mn  0.0000  0.0000  0.8407
Bi  0.5000  0.5000  0.1716
Bi  0.5000  0.0000  0.6716

=====

[3]
UB4H16: optimized geometry, GGA-PBE.

Cell lengths 7.4502, 7.4502, 13.1687 Å; angles 90.00, 90.00, 90.00 degrees
Element x y z (fractional)
U  0.0708  0.0708  0.5000
U  0.4292  0.5708  0.2500
U  0.5708  0.4292  0.7500
U  0.9292  0.9292  0.0000
B  0.3390  0.2111  0.6268
B  0.6610  0.7889  0.1268
B  0.2111  0.3390  0.3732
B  0.7111  0.1610  0.8768
B  0.2889  0.8390  0.3768
B  0.1610  0.7111  0.1232
B  0.8390  0.2889  0.6232
B  0.7889  0.6610  0.8732
B  0.0738  0.7911  0.6015
B  0.9262  0.2089  0.1015
B  0.7911  0.0738  0.3985
B  0.2911  0.4262  0.8515
B  0.7089  0.5738  0.3515
B  0.4262  0.2911  0.1485
B  0.5738  0.7089  0.6485
B  0.2089  0.9262  0.8985
H  0.8454  0.5758  0.3993
H  0.1546  0.4242  0.8993
H  0.5758  0.8454  0.6007
H  0.0758  0.6546  0.6493
H  0.9242  0.3454  0.1493
H  0.6546  0.0758  0.3507
H  0.3454  0.9242  0.8507
H  0.4242  0.1546  0.1007
H  0.7228  0.5003  0.2664
H  0.2772  0.4997  0.7664
H  0.5003  0.7228  0.7336
H  0.0003  0.7772  0.5164
H  0.9997  0.2228  0.0164
H  0.7772  0.0003  0.4836
H  0.2228  0.9997  0.9836
H  0.4997  0.2772  0.2336
H  0.6428  0.7255  0.3358
H  0.3572  0.2745  0.8358
H  0.7255  0.6428  0.6642
H  0.2255  0.8572  0.5858
H  0.3761  0.3540  0.3787
H  0.1460  0.8761  0.1287
H  0.8540  0.1239  0.6287
H  0.8761  0.1460  0.8713
H  0.1239  0.8540  0.3713
H  0.6239  0.6460  0.8787
H  0.3540  0.3761  0.6213
H  0.6460  0.6239  0.1213
H  0.1460  0.4454  0.3117
H  0.0546  0.6460  0.0617
H  0.9454  0.3540  0.5617
H  0.6460  0.0546  0.9383
H  0.3540  0.9454  0.4383
H  0.8540  0.5546  0.8117
H  0.4454  0.1460  0.6883
H  0.5546  0.8540  0.1883
H  0.1484  0.3711  0.4582
H  0.1289  0.6484  0.2082
H  0.8711  0.3516  0.7082
H  0.6484  0.1289  0.7918
H  0.3516  0.8711  0.2918
H  0.8516  0.6289  0.9582
H  0.3711  0.1484  0.5418
H  0.6289  0.8516  0.0418
H  0.1745  0.1846  0.3450
H  0.3154  0.6745  0.0950
H  0.6846  0.3255  0.5950
H  0.6745  0.3154  0.9050
H  0.3255  0.6846  0.4050
H  0.8255  0.8154  0.8450
H  0.1846  0.1745  0.6550
H  0.8154  0.8255  0.1550
H  0.0096  0.0832  0.1428
H  0.4168  0.5096  0.8928
H  0.5832  0.4904  0.3928
H  0.5096  0.4168  0.1072
H  0.4904  0.5832  0.6072
H  0.9904  0.9168  0.6428
H  0.0832  0.0096  0.8572
H  0.9168  0.9904  0.3572
H  0.2745  0.3572  0.1642
H  0.1428  0.7745  0.9142
H  0.8572  0.2255  0.4142
H  0.7745  0.1428  0.0858

Summary:
The MP2020-corrected energy is -391.936 eV/cell. Its symmetry is P4_32_12 (96). The value obtained for the energy relative to the lowest polymorph listed for this composition is 0.0 meV per atom.

=====

[4]
Sm3Al2Ni6H9: optimized geometry, GGA-PBE.

Cell lengths 8.0774, 8.0774, 8.0774 Å; angles 109.47, 109.47, 109.47 degrees
Element x y z (fractional)
Sm  0.7287  0.7287  0.0000
Sm  0.2713  0.0000  0.2713
Sm  0.0000  0.2713  0.2713
Sm  0.2713  0.2713  0.0000
Sm  0.7287  0.0000  0.7287
Sm  0.0000  0.7287  0.7287
Al  0.0000  0.0000  0.5000
Al  0.0000  0.5000  0.0000
Al  0.5000  0.0000  0.0000
Al  0.5000  0.5000  0.5000
Ni  0.3380  0.3380  0.6760
Ni  0.6620  0.0000  0.3380
Ni  0.0000  0.6620  0.3380
Ni  0.6620  0.3380  0.0000
Ni  0.3380  0.6760  0.3380
Ni  0.0000  0.3380  0.6620
Ni  0.3380  0.6620  0.0000
Ni  0.3380  0.0000  0.6620
Ni  0.6760  0.3380  0.3380
Ni  0.6620  0.6620  0.3240
Ni  0.6620  0.3240  0.6620
Ni  0.3240  0.6620  0.6620
H  0.0000  0.0000  0.7286
H  0.0000  0.7286  0.0000
H  0.7286  0.0000  0.0000
H  0.2714  0.2714  0.2714
H  0.0000  0.0000  0.2714
H  0.0000  0.2714  0.0000
H  0.2714  0.0000  0.0000
H  0.7286  0.7286  0.7286
H  0.5000  0.7500  0.2500
H  0.2500  0.7500  0.5000
H  0.2500  0.5000  0.7500
H  0.5000  0.2500  0.7500
H  0.7500  0.5000  0.2500
H  0.7500  0.2500  0.5000
H  0.5000  0.5000  0.0000
H  0.5000  0.0000  0.5000
H  0.0000  0.5000  0.5000
H  0.0000  0.0000  0.0000

Summary:
The MP2020-corrected energy is -191.058 eV/cell. Its symmetry is Im-3m (229).

=====

E_form: -2.051; 0.080; -0.271; -0.433 (eV per atom)